Material: MgMnSiO5
Method: DFT, PBE with a Hubbard U
State: optimized geometry

energy with MP2020 corrections = -123.806 eV per cell

Lattice parameters (Å, degrees): 5.2316 6.9317 5.2541 74.92 105.05 75.66
With the nearest neighbours (Å) after each atom.
Fractional coordinates of all 16 atoms:
Mg  0.3325  0.2364  0.1724  4 O 2.01-2.25
Mg  0.6685  0.7461  0.8311  3 O 2.02-2.21
Mn  0.9996  0.9938  0.5005  6 O 1.88-1.95
Mn  0.9992  0.4939  0.5005  6 O 1.88-1.95
Si  0.6803  0.2434  0.8201  4 O 1.64-1.65
Si  0.3180  0.7443  0.1805  4 O 1.64-1.65
O  0.9108  0.7426  0.5892  2 Mn 1.88-1.89, 1 Mg 2.02
O  0.0877  0.2449  0.4110  2 Mn 1.88, 1 Mg 2.01
O  0.6749  0.1165  0.5945  1 Si 1.65
O  0.9169  0.3622  0.8305  1 Si 1.64
O  0.3247  0.8715  0.4059  1 Si 1.65
O  0.0810  0.6261  0.1706  1 Si 1.64
O  0.6247  0.5730  0.2384  1 Si 1.64
O  0.2703  0.9098  0.8711  1 Si 1.64
O  0.3738  0.4150  0.7620  1 Si 1.64
O  0.7293  0.0772  0.1297  1 Si 1.64



Material: Fe2O3
Method: DFT, PBE with a Hubbard U
State: optimized geometry

energy with MP2020 corrections = -620.644 eV per cell

Lattice parameters (Å, degrees): 10.0222 10.8194 9.8212 90.88 93.31 95.47
With the nearest neighbours (Å) after each atom.
Fractional coordinates of all 80 atoms:
Fe  0.4145  0.7247  0.8755  4 O 1.86-2.00
Fe  0.5654  0.0468  0.6877  4 O 1.86-2.02
Fe  0.6971  0.8334  0.8198  5 O 1.95-2.03
Fe  0.9204  0.1629  0.4645  4 O 1.88-1.96
Fe  0.4874  0.3959  0.2269  5 O 1.92-2.04
Fe  0.4269  0.4515  0.5188  5 O 1.97-2.12
Fe  0.4647  0.9621  0.0371  4 O 1.88-1.94
Fe  0.6318  0.5363  0.0212  5 O 1.94-2.14
Fe  0.0867  0.7019  0.4840  5 O 1.93-2.12
Fe  0.1777  0.5134  0.6870  5 O 1.94-2.14
Fe  0.8773  0.7433  0.2241  6 O 1.99-2.22
Fe  0.3232  0.2502  0.7197  4 O 1.94-2.06
Fe  0.6920  0.3285  0.7041  3 O 1.88-1.94
Fe  0.1672  0.2902  0.3448  4 O 1.87-1.96
Fe  0.2605  0.4808  0.9814  5 O 1.95-2.07
Fe  0.2276  0.9534  0.7350  5 O 1.90-2.06
Fe  0.9182  0.1158  0.7611  3 O 1.89-2.07
Fe  0.6839  0.5902  0.7025  4 O 1.91-2.04
Fe  0.4166  0.7460  0.5592  4 O 1.92-1.97
Fe  0.1716  0.1755  0.9545  5 O 1.89-2.07
Fe  0.6043  0.6754  0.3253  4 O 1.91-1.99
Fe  0.0455  0.5194  0.2212  4 O 1.85-2.01
Fe  0.2884  0.7616  0.2253  4 O 2.07-2.26
Fe  0.6086  0.1103  0.3283  4 O 1.80-1.94
Fe  0.7625  0.0076  0.0511  3 O 1.85-1.98
Fe  0.9868  0.8539  0.9710  4 O 1.81-2.00
Fe  0.8139  0.3061  0.1697  4 O 1.86-1.97
Fe  0.9109  0.4488  0.4994  4 O 1.91-2.07
Fe  0.1438  0.9570  0.3891  4 O 1.88-1.96
Fe  0.3199  0.1215  0.2014  4 O 1.88-1.90
Fe  0.9297  0.5277  0.9246  4 O 1.85-2.03
Fe  0.7892  0.8620  0.5589  4 O 1.86-1.97
O  0.7440  0.4616  0.5824  3 Fe 1.92-1.97
O  0.8968  0.9074  0.1358  3 Fe 1.96-2.00
O  0.5137  0.6074  0.6096  3 Fe 1.91-2.00
O  0.7234  0.1656  0.7504  3 Fe 1.88-2.07
O  0.0070  0.3733  0.3415  3 Fe 1.91-2.07
O  0.7852  0.2008  0.3294  3 Fe 1.92-1.97
O  0.3694  0.8277  0.7263  3 Fe 1.91-2.06
O  0.3841  0.0840  0.7160  3 Fe 1.93-2.03
O  0.1996  0.5759  0.1374  2 Fe 1.85-1.99
O  0.0144  0.5746  0.6095  3 Fe 1.91-1.98
O  0.4801  0.2172  0.2600  3 Fe 1.88-1.96
O  0.5986  0.9605  0.9044  3 Fe 1.93-2.14
O  0.1417  0.8793  0.8849  2 Fe 1.81-1.90
O  0.9271  0.2889  0.5994  2 Fe 1.88-2.02
O  0.5016  0.3360  0.6585  3 Fe 1.94-2.06
O  0.2468  0.3714  0.5986  3 Fe 1.96-2.12
O  0.1370  0.1150  0.7592  3 Fe 2.02-2.19
O  0.9857  0.1900  0.9302  2 Fe 1.89, 1 O 2.06
O  0.7381  0.4752  0.8541  4 Fe 2.03-2.15
O  0.6116  0.9980  0.1729  3 Fe 1.94-1.98
O  0.3007  0.9698  0.2924  2 Fe 1.88
O  0.9259  0.4353  0.0874  3 Fe 1.89-1.93
O  0.8879  0.0211  0.5802  3 Fe 1.90-2.03
O  0.0883  0.7939  0.3024  2 Fe 1.96-2.06
O  0.6582  0.3895  0.1324  3 Fe 1.90-2.00
O  0.8100  0.7363  0.7000  3 Fe 1.93-2.03
O  0.3281  0.3929  0.3471  3 Fe 1.87-2.04
O  0.5750  0.0780  0.5028  2 Fe 1.80-1.86
O  0.9364  0.6849  0.0241  2 Fe 1.94
O  0.3915  0.7958  0.0487  3 Fe 1.88-2.09
O  0.8216  0.1745  0.0471  2 Fe 1.85-1.86, 1 O 2.06
O  0.2873  0.3154  0.8976  3 Fe 1.93-2.01
O  0.6032  0.6782  0.8766  4 Fe 1.95-2.18
O  0.1398  0.8747  0.5612  3 Fe 1.92-2.02
O  0.8558  0.9507  0.8708  4 Fe 1.97-2.16
O  0.4491  0.7550  0.3664  3 Fe 1.91-2.07
O  0.0966  0.1267  0.4064  3 Fe 1.95-1.96
O  0.0845  0.4752  0.8585  2 Fe 1.85-2.00
O  0.1842  0.2283  0.1583  3 Fe 1.90-2.07
O  0.7685  0.7839  0.3877  3 Fe 1.86-2.06
O  0.3276  0.0725  0.0157  3 Fe 1.90-2.07
O  0.9415  0.6000  0.3494  3 Fe 1.93-2.12
O  0.2528  0.6301  0.5286  3 Fe 1.93-2.14
O  0.6184  0.8761  0.6411  3 Fe 1.95-2.02
O  0.4469  0.5001  0.0696  3 Fe 1.94-2.00
O  0.3179  0.5746  0.8240  3 Fe 1.86-1.95
O  0.6958  0.6625  0.1598  3 Fe 1.92-2.00
O  0.5613  0.5061  0.3735  3 Fe 1.91-2.07



Material: ZnNi2O4
Method: DFT, PBE with a Hubbard U
State: optimized geometry

energy with MP2020 corrections = -246.075 eV per cell

Lattice parameters (Å, degrees): 5.8665 5.8736 14.3839 88.86 89.17 60.82
With the nearest neighbours (Å) after each atom.
Fractional coordinates of all 42 atoms:
Zn  0.1590  0.1756  0.0444  4 O 1.96-2.00
Zn  0.5007  0.4992  0.3786  4 O 1.96-1.99
Zn  0.5032  0.4990  0.9989  6 O 2.03-2.12
Zn  0.8192  0.8492  0.7094  4 O 1.97-2.00
Zn  0.1631  0.1652  0.2885  4 O 1.98-2.00
Zn  0.5098  0.4946  0.6242  4 O 1.97-2.00
Ni  0.1658  0.6663  0.1668  6 O 1.94-2.07
Ni  0.6648  0.6671  0.1670  6 O 1.90-1.97
Ni  0.5018  0.9958  0.5014  6 O 1.89-2.09
Ni  0.6652  0.1655  0.1680  6 O 1.93-2.11
Ni  0.8315  0.8304  0.3354  6 O 1.99-2.04
Ni  0.0039  0.9955  0.5001  6 O 1.92-2.09
Ni  0.8348  0.3378  0.8320  6 O 1.88-1.93
Ni  0.0034  0.4972  0.5002  6 O 1.88-2.06
Ni  0.3315  0.8351  0.8328  6 O 2.03-2.09
Ni  0.1639  0.1749  0.6658  6 O 1.91-2.09
Ni  0.3302  0.3369  0.8320  6 O 1.89-2.03
Ni  0.8425  0.8212  0.9549  4 O 1.92-1.99
O  0.3486  0.3455  0.0962  2 Ni 1.93-1.95, 2 Zn 1.98-2.07
O  0.5058  0.5112  0.2417  3 Ni 1.90-2.08, 1 Zn 1.97
O  0.3455  0.8103  0.0912  2 Ni 1.95-1.97, 2 Zn 1.98-2.09
O  0.8020  0.3514  0.0950  2 Ni 1.93-1.94, 2 Zn 1.96-2.07
O  0.5327  0.9792  0.2437  3 Ni 1.94-2.03, 1 Zn 2.00
O  0.6647  0.6952  0.4274  3 Ni 1.89-2.04, 1 Zn 1.97
O  0.9794  0.5324  0.2432  3 Ni 1.95-2.04, 1 Zn 1.98
O  0.8253  0.8204  0.0899  4 Ni 1.92-2.11
O  0.6900  0.1333  0.4261  3 Ni 1.94-2.04, 1 Zn 1.99
O  0.8536  0.8234  0.5725  3 Ni 1.92-2.08, 1 Zn 1.98
O  0.9818  0.9804  0.2400  3 Ni 1.94-2.03, 1 Zn 1.99
O  0.1359  0.6625  0.4203  3 Ni 1.88-2.08, 1 Zn 1.96
O  0.8763  0.3268  0.5815  3 Ni 1.89-2.09, 1 Zn 1.97
O  0.9972  0.0445  0.7522  3 Ni 1.91-2.09, 1 Zn 2.00
O  0.3145  0.8590  0.5761  3 Ni 1.94-2.09, 1 Zn 1.99
O  0.1524  0.1708  0.4273  3 Ni 1.93-2.09, 1 Zn 2.00
O  0.1480  0.1773  0.9055  3 Ni 1.93-2.06, 1 Zn 2.00
O  0.0020  0.4834  0.7576  3 Ni 1.89-2.08, 1 Zn 1.99
O  0.3368  0.2970  0.5785  3 Ni 1.92-2.06, 1 Zn 2.00
O  0.4511  0.0433  0.7505  3 Ni 1.92-2.04, 1 Zn 1.97
O  0.1954  0.6322  0.9095  3 Ni 1.89-2.03, 1 Zn 2.04
O  0.5204  0.4932  0.7618  3 Ni 1.91-2.05, 1 Zn 1.98
O  0.6695  0.1857  0.9045  3 Ni 1.90-2.03, 1 Zn 2.12
O  0.6767  0.6352  0.9072  3 Ni 1.88-2.08, 1 Zn 2.03



Material: K4Fe2O7
Method: DFT, PBE with a Hubbard U
State: optimized geometry

energy with MP2020 corrections = -444.753 eV per cell

Lattice parameters (Å, degrees): 6.0583 10.5088 23.8415 90.00 90.00 90.00
With the nearest neighbours (Å) after each atom.
Fractional coordinates of all 78 atoms:
K  0.5000  0.0458  0.0053  6 O 2.68-2.83
K  0.0000  0.8394  0.0516  9 O 3.00-3.29
K  0.5000  0.3344  0.1031  1 O 2.64
K  0.0000  0.5363  0.1647  6 O 2.72-3.00
K  0.5000  0.9601  0.1705  6 O 2.72-2.85
K  0.0000  0.1691  0.2309  3 O 2.65-2.94
K  0.5000  0.6709  0.2738  5 O 2.73-3.04
K  0.0000  0.4578  0.3282  6 O 2.70-2.88
K  0.5000  0.0395  0.3345  4 O 2.67-2.77
K  0.0000  0.8335  0.3879  6 O 2.98-3.31, 1 Fe 3.10
K  0.5000  0.3312  0.4531  7 O 2.99-3.17, 1 Fe 3.27
K  0.0000  0.5405  0.4964  6 O 2.70-2.92
K  0.5000  0.9542  0.5053  6 O 2.68-2.83
K  0.0000  0.1606  0.5516  9 O 3.00-3.29
K  0.5000  0.6656  0.6031  1 O 2.64
K  0.0000  0.4637  0.6647  6 O 2.72-3.00
K  0.5000  0.0399  0.6705  6 O 2.72-2.85
K  0.0000  0.8309  0.7309  3 O 2.65-2.94
K  0.5000  0.3291  0.7738  5 O 2.73-3.04
K  0.0000  0.5422  0.8282  6 O 2.70-2.88
K  0.5000  0.9605  0.8345  4 O 2.67-2.77
K  0.0000  0.1665  0.8879  6 O 2.98-3.31, 1 Fe 3.10
K  0.5000  0.6688  0.9531  7 O 2.99-3.17, 1 Fe 3.27
K  0.0000  0.4595  0.9964  6 O 2.70-2.92
Fe  0.0000  0.1668  0.0918  3 O 1.67
Fe  0.5000  0.6747  0.0904  4 O 1.64-1.67
Fe  0.0000  0.8270  0.2579  3 O 1.67
Fe  0.5000  0.3270  0.2411  3 O 1.67
Fe  0.0000  0.1716  0.4106  4 O 1.64-1.67
Fe  0.5000  0.6724  0.4232  4 O 1.65-1.67
Fe  0.0000  0.8332  0.5918  3 O 1.67
Fe  0.5000  0.3253  0.5904  4 O 1.64-1.67
Fe  0.0000  0.1730  0.7579  3 O 1.67
Fe  0.5000  0.6730  0.7411  3 O 1.67
Fe  0.0000  0.8284  0.9106  4 O 1.64-1.67
Fe  0.5000  0.3276  0.9232  4 O 1.65-1.67
O  0.2751  0.6040  0.0646  1 Fe 1.67
O  0.7249  0.6040  0.0646  1 Fe 1.67
O  0.5000  0.8243  0.0669  1 Fe 1.67
O  0.0000  0.3261  0.0929  1 Fe 1.67
O  0.2367  0.0860  0.0939  1 Fe 1.67
O  0.7633  0.0860  0.0939  1 Fe 1.67
O  0.5000  0.6711  0.1592  1 Fe 1.64
O  0.7397  0.4047  0.2394  1 Fe 1.67
O  0.2603  0.4047  0.2394  1 Fe 1.67
O  0.5000  0.1685  0.2379  1 Fe 1.67
O  0.0000  0.6687  0.2628  1 Fe 1.67
O  0.7610  0.9050  0.2619  1 Fe 1.67
O  0.2390  0.9050  0.2619  1 Fe 1.67
O  0.0000  0.1676  0.3418  1 Fe 1.64
O  0.2742  0.6000  0.3993  1 Fe 1.67
O  0.7258  0.6000  0.3993  1 Fe 1.67
O  0.5000  0.8235  0.4014  1 Fe 1.67
O  0.0000  0.3222  0.4334  1 Fe 1.67
O  0.7755  0.0988  0.4358  1 Fe 1.67
O  0.2245  0.0988  0.4358  1 Fe 1.67
O  0.5000  0.6697  0.4925  1 Fe 1.65
O  0.2751  0.3960  0.5646  1 Fe 1.67
O  0.7249  0.3960  0.5646  1 Fe 1.67
O  0.5000  0.1757  0.5669  1 Fe 1.67
O  0.0000  0.6739  0.5929  1 Fe 1.67
O  0.7633  0.9140  0.5939  1 Fe 1.67
O  0.2367  0.9140  0.5939  1 Fe 1.67
O  0.5000  0.3289  0.6592  1 Fe 1.64
O  0.2603  0.5953  0.7394  1 Fe 1.67
O  0.7397  0.5953  0.7394  1 Fe 1.67
O  0.5000  0.8315  0.7379  1 Fe 1.67
O  0.0000  0.3313  0.7628  1 Fe 1.67
O  0.7610  0.0950  0.7619  1 Fe 1.67
O  0.2390  0.0950  0.7619  1 Fe 1.67
O  0.0000  0.8324  0.8418  1 Fe 1.64
O  0.2742  0.4000  0.8993  1 Fe 1.67
O  0.7258  0.4000  0.8993  1 Fe 1.67
O  0.5000  0.1765  0.9014  1 Fe 1.67
O  0.0000  0.6778  0.9334  1 Fe 1.67
O  0.7755  0.9012  0.9358  1 Fe 1.67
O  0.2245  0.9012  0.9358  1 Fe 1.67
O  0.5000  0.3303  0.9925  1 Fe 1.65



Number 1: DFT total energy -7.100 eV/atom. Number 2: DFT total energy -6.443 eV/atom. Number 3: DFT total energy -4.740 eV/atom. Number 4: DFT total energy -4.985 eV/atom.